Arrangement i

DFT (PBE+U) results for a relaxed structure of Li3VSi2O7.

Lattice parameters (Å, degrees): 13.083 8.629 8.643 60.14 90.00 90.00
Sites, in units of the cell vectors:
1 Li 0.897 0.978 0.689
2 Li 0.567 0.979 0.690
3 Li 0.218 0.669 0.665
4 Li 0.734 0.669 0.666
5 Li 0.463 0.002 0.998
6 Li 0.963 0.998 0.002
7 Li 0.566 0.692 0.331
8 Li 0.899 0.692 0.333
9 Li 0.898 0.336 0.973
10 Li 0.566 0.334 0.974
11 Li 0.066 0.666 0.026
12 Li 0.398 0.664 0.027
13 Li 0.399 0.308 0.667
14 Li 0.066 0.308 0.669
15 Li 0.234 0.331 0.334
16 Li 0.718 0.331 0.335
17 Li 0.067 0.021 0.310
18 Li 0.397 0.022 0.311
19 V 0.231 0.998 0.998
20 V 0.731 0.002 0.002
21 V 0.509 0.668 0.665
22 V 0.956 0.669 0.665
23 V 0.456 0.331 0.335
24 V 0.009 0.332 0.335
25 Si 0.345 0.977 0.672
26 Si 0.120 0.979 0.671
27 Si 0.121 0.674 0.349
28 Si 0.345 0.676 0.351
29 Si 0.121 0.351 0.974
30 Si 0.345 0.353 0.972
31 Si 0.845 0.647 0.028
32 Si 0.621 0.649 0.026
33 Si 0.845 0.324 0.649
34 Si 0.621 0.326 0.651
35 Si 0.620 0.021 0.329
36 Si 0.845 0.023 0.328
37 O 0.842 0.869 0.929
38 O 0.626 0.870 0.925
39 O 0.232 0.874 0.693
40 O 0.037 0.815 0.754
41 O 0.429 0.814 0.756
42 O 0.605 0.883 0.538
43 O 0.860 0.883 0.536
44 O 0.843 0.932 0.202
45 O 0.860 0.584 0.879
46 O 0.625 0.927 0.205
47 O 0.605 0.582 0.880
48 O 0.037 0.758 0.430
49 O 0.430 0.759 0.430
50 O 0.233 0.696 0.432
51 O 0.343 0.799 0.133
52 O 0.233 0.437 0.870
53 O 0.126 0.795 0.132
54 O 0.430 0.432 0.810
55 O 0.037 0.433 0.811
56 O 0.605 0.540 0.579
57 O 0.861 0.539 0.580
58 O 0.361 0.461 0.420
59 O 0.105 0.460 0.421
60 O 0.537 0.567 0.189
61 O 0.930 0.568 0.190
62 O 0.626 0.205 0.868
63 O 0.733 0.563 0.130
64 O 0.843 0.201 0.867
65 O 0.733 0.304 0.568
66 O 0.930 0.241 0.570
67 O 0.537 0.242 0.570
68 O 0.105 0.418 0.120
69 O 0.125 0.073 0.795
70 O 0.360 0.416 0.121
71 O 0.343 0.068 0.798
72 O 0.360 0.117 0.464
73 O 0.105 0.117 0.462
74 O 0.929 0.186 0.244
75 O 0.537 0.185 0.246
76 O 0.732 0.126 0.307
77 O 0.126 0.130 0.075
78 O 0.342 0.131 0.071


Arrangement ii

DFT (PBE+U) results for a relaxed structure of Li3VSi2O7.

Lattice parameters (Å, degrees): 5.022 8.986 12.544 90.00 90.00 90.00
Sites, in units of the cell vectors:
1 Li 0.034 0.338 0.090
2 Li 0.034 0.338 0.410
3 Li 0.028 0.018 0.250
4 Li 0.472 0.518 0.250
5 Li 0.466 0.838 0.090
6 Li 0.466 0.838 0.410
7 Li 0.534 0.162 0.590
8 Li 0.534 0.162 0.910
9 Li 0.528 0.482 0.750
10 Li 0.972 0.982 0.750
11 Li 0.966 0.662 0.910
12 Li 0.966 0.662 0.590
13 V 0.000 0.000 0.000
14 V 0.000 0.000 0.500
15 V 0.500 0.500 0.500
16 V 0.500 0.500 0.000
17 Si 0.011 0.317 0.631
18 Si 0.011 0.317 0.869
19 Si 0.489 0.817 0.631
20 Si 0.489 0.817 0.869
21 Si 0.511 0.183 0.131
22 Si 0.511 0.183 0.369
23 Si 0.989 0.683 0.131
24 Si 0.989 0.683 0.369
25 O 0.064 0.861 0.128
26 O 0.064 0.861 0.372
27 O 0.089 0.615 0.250
28 O 0.164 0.601 0.039
29 O 0.164 0.601 0.461
30 O 0.173 0.852 0.617
31 O 0.173 0.852 0.883
32 O 0.327 0.352 0.617
33 O 0.327 0.352 0.883
34 O 0.336 0.101 0.039
35 O 0.336 0.101 0.461
36 O 0.411 0.115 0.250
37 O 0.436 0.361 0.128
38 O 0.436 0.361 0.372
39 O 0.564 0.639 0.628
40 O 0.564 0.639 0.872
41 O 0.589 0.885 0.750
42 O 0.664 0.899 0.539
43 O 0.664 0.899 0.961
44 O 0.673 0.648 0.117
45 O 0.673 0.648 0.383
46 O 0.827 0.148 0.383
47 O 0.827 0.148 0.117
48 O 0.836 0.399 0.539
49 O 0.836 0.399 0.961
50 O 0.911 0.385 0.750
51 O 0.936 0.139 0.628
52 O 0.936 0.139 0.872


The relative energies come out as arrangement i 0.000; arrangement ii 0.023, with values in eV/atom.


Arrangement i

DFT (PBE+U) results for a relaxed structure of Li2VSiO5.

Lattice parameters (Å, degrees): 4.540 9.087 9.086 90.00 90.00 90.00
Sites, in units of the cell vectors:
1 Li 0.500 0.000 0.000
2 Li 0.500 0.500 0.500
3 Li 0.500 0.500 0.000
4 Li 0.500 0.000 0.500
5 Li 0.500 0.250 0.750
6 Li 0.500 0.750 0.250
7 Li 0.500 0.250 0.250
8 Li 0.500 0.750 0.750
9 V 0.084 0.750 0.500
10 V 0.917 0.250 0.500
11 V 0.083 0.250 0.000
12 V 0.917 0.750 0.000
13 Si 0.000 0.500 0.750
14 Si 0.000 0.000 0.250
15 Si 0.000 0.500 0.250
16 Si 0.000 0.000 0.750
17 O 0.713 0.250 0.000
18 O 0.713 0.750 0.500
19 O 0.287 0.750 0.000
20 O 0.287 0.250 0.500
21 O 0.217 0.603 0.353
22 O 0.217 0.103 0.853
23 O 0.217 0.397 0.147
24 O 0.217 0.897 0.647
25 O 0.783 0.397 0.353
26 O 0.783 0.897 0.853
27 O 0.783 0.603 0.147
28 O 0.783 0.103 0.647
29 O 0.783 0.397 0.647
30 O 0.783 0.897 0.147
31 O 0.783 0.603 0.853
32 O 0.783 0.103 0.353
33 O 0.217 0.603 0.647
34 O 0.217 0.103 0.147
35 O 0.217 0.397 0.853
36 O 0.217 0.897 0.353


Arrangement ii

DFT (PBE+U) results for a relaxed structure of Li2VSiO5.

Lattice parameters (Å, degrees): 4.508 9.108 9.256 90.00 90.00 90.00
Sites, in units of the cell vectors:
1 Li 0.617 0.500 0.004
2 Li 0.383 0.500 0.504
3 Li 0.003 0.750 0.002
4 Li 0.997 0.750 0.502
5 Li 0.008 0.000 0.254
6 Li 0.992 0.000 0.754
7 Li 0.003 0.250 0.002
8 Li 0.997 0.250 0.502
9 V 0.958 0.500 0.290
10 V 0.042 0.500 0.790
11 V 0.433 0.000 0.997
12 V 0.567 0.000 0.497
13 Si 0.501 0.750 0.249
14 Si 0.499 0.750 0.749
15 Si 0.501 0.250 0.249
16 Si 0.499 0.250 0.749
17 O 0.805 0.500 0.455
18 O 0.195 0.500 0.955
19 O 0.742 0.644 0.163
20 O 0.258 0.644 0.663
21 O 0.262 0.649 0.339
22 O 0.738 0.649 0.839
23 O 0.302 0.852 0.140
24 O 0.698 0.852 0.640
25 O 0.703 0.853 0.355
26 O 0.297 0.853 0.855
27 O 0.194 0.000 0.495
28 O 0.806 0.000 0.995
29 O 0.703 0.147 0.355
30 O 0.297 0.147 0.855
31 O 0.302 0.148 0.140
32 O 0.698 0.148 0.640
33 O 0.262 0.351 0.339
34 O 0.738 0.351 0.839
35 O 0.258 0.356 0.663
36 O 0.742 0.356 0.163


Arrangement iii

DFT (PBE+U) results for a relaxed structure of Li2VSiO5.

Lattice parameters (Å, degrees): 5.068 12.695 13.108 61.67 90.00 90.00
Sites, in units of the cell vectors:
1 Li 0.724 0.848 0.328
2 Li 0.772 0.346 0.086
3 Li 0.207 0.176 0.174
4 Li 0.721 0.571 0.584
5 Li 0.221 0.929 0.416
6 Li 0.707 0.324 0.826
7 Li 0.776 0.348 0.328
8 Li 0.728 0.846 0.086
9 Li 0.272 0.154 0.914
10 Li 0.224 0.652 0.672
11 Li 0.293 0.676 0.174
12 Li 0.779 0.071 0.584
13 Li 0.279 0.429 0.416
14 Li 0.793 0.824 0.826
15 Li 0.228 0.654 0.914
16 Li 0.276 0.152 0.672
17 V 0.736 0.129 0.062
18 V 0.268 0.692 0.437
19 V 0.764 0.629 0.062
20 V 0.768 0.808 0.563
21 V 0.232 0.192 0.437
22 V 0.236 0.371 0.938
23 V 0.732 0.308 0.563
24 V 0.264 0.871 0.938
25 Si 0.224 0.934 0.162
26 Si 0.219 0.408 0.661
27 Si 0.276 0.434 0.162
28 Si 0.719 0.092 0.339
29 Si 0.281 0.908 0.661
30 Si 0.724 0.566 0.838
31 Si 0.781 0.592 0.339
32 Si 0.776 0.066 0.838
33 O 0.904 0.962 0.136
34 O 0.025 0.215 0.001
35 O 0.394 0.058 0.120
36 O 0.612 0.664 0.392
37 O 0.279 0.857 0.301
38 O 0.163 0.361 0.095
39 O 0.797 0.155 0.201
40 O 0.898 0.398 0.642
41 O 0.976 0.726 0.488
42 O 0.596 0.462 0.136
43 O 0.475 0.715 0.001
44 O 0.318 0.548 0.598
45 O 0.818 0.952 0.402
46 O 0.106 0.558 0.120
47 O 0.476 0.774 0.512
48 O 0.398 0.102 0.358
49 O 0.888 0.164 0.392
50 O 0.221 0.357 0.301
51 O 0.297 0.345 0.799
52 O 0.663 0.139 0.905
53 O 0.337 0.861 0.095
54 O 0.703 0.655 0.201
55 O 0.779 0.643 0.699
56 O 0.112 0.836 0.608
57 O 0.602 0.898 0.642
58 O 0.524 0.226 0.488
59 O 0.894 0.442 0.880
60 O 0.182 0.048 0.598
61 O 0.682 0.452 0.402
62 O 0.525 0.285 0.999
63 O 0.404 0.538 0.864
64 O 0.024 0.274 0.512
65 O 0.102 0.602 0.358
66 O 0.203 0.845 0.799
67 O 0.837 0.639 0.905
68 O 0.721 0.143 0.699
69 O 0.388 0.336 0.608
70 O 0.606 0.942 0.880
71 O 0.975 0.785 0.999
72 O 0.096 0.038 0.864


The relative energies come out as arrangement i 0.000; arrangement ii 0.030; arrangement iii 0.052, with values in eV/atom.